Record 1
Na2La2MgTi2O8: relaxed, PBE-GGA.

a = 3.743 Å, b = 3.743 Å, c = 15.618 Å
α = 90.00°, β = 90.00°, γ = 90.00°
Sites, in units of the cell vectors:
Na  0.250  0.250  0.566
Na  0.750  0.750  0.434
O  0.250  0.250  0.072
O  0.750  0.750  0.583
O  0.750  0.250  0.745
O  0.750  0.750  0.928
O  0.250  0.250  0.417
O  0.250  0.750  0.747
O  0.250  0.750  0.253
O  0.750  0.250  0.255
La  0.750  0.750  0.160
La  0.250  0.250  0.840
Mg  0.250  0.750  0.000
Ti  0.750  0.750  0.698
Ti  0.250  0.250  0.302

Calculated values
The calculation puts the magnetization at 1.684 Bohr magnetons per cell. The symmetry is P-4m2 (115). The relative energy among the computed polymorphs is 0.094 eV per atom.

Record 2
CeGa6Ni: relaxed, PBE-GGA.

a = 4.273 Å, b = 4.273 Å, c = 7.973 Å
α = 90.00°, β = 90.00°, γ = 90.00°
Sites, in units of the cell vectors:
Ga  0.000  0.500  0.165
Ga  0.500  0.000  0.835
Ga  0.000  0.500  0.835
Ga  0.500  0.500  0.350
Ga  0.500  0.000  0.165
Ga  0.500  0.500  0.650
Ce  0.000  0.000  0.500
Ni  0.000  0.000  0.000

Calculated values
The symmetry is P4/mmm (123).

Record 3
Be4AlNi: relaxed, PBE-GGA.

a = 4.253 Å, b = 4.253 Å, c = 4.253 Å
α = 60.00°, β = 60.00°, γ = 60.00°
Sites, in units of the cell vectors:
Be  0.122  0.626  0.626
Be  0.626  0.122  0.626
Be  0.626  0.626  0.122
Be  0.626  0.626  0.626
Al  0.250  0.250  0.250
Ni  0.000  0.000  0.000

Calculated values
The symmetry is F-43m (216).

Record 4
Pr2MgIrO6: relaxed, PBE-GGA.

a = 5.730 Å, b = 5.547 Å, c = 9.661 Å
α = 54.88°, β = 90.00°, γ = 90.00°
Sites, in units of the cell vectors:
O  0.973  0.344  0.748
O  0.527  0.344  0.248
O  0.207  0.253  0.048
O  0.027  0.656  0.252
O  0.203  0.844  0.452
O  0.703  0.156  0.048
O  0.793  0.747  0.952
O  0.293  0.253  0.548
O  0.707  0.747  0.452
O  0.473  0.656  0.752
O  0.797  0.156  0.548
O  0.297  0.844  0.952
Ir  0.500  0.500  0.000
Ir  0.000  0.500  0.500
Mg  0.000  0.000  0.000
Mg  0.500  0.000  0.500
Pr  0.445  0.764  0.249
Pr  0.945  0.236  0.251
Pr  0.555  0.236  0.751
Pr  0.055  0.764  0.749

Calculated values
The calculation puts the magnetization at 2.000 Bohr magnetons per cell. The symmetry is P2_1/c (14).

Record 5
Re3RuN6O14: relaxed, PBE-GGA.

a = 7.913 Å, b = 7.913 Å, c = 16.067 Å
α = 101.86°, β = 101.86°, γ = 90.55°
Sites, in units of the cell vectors:
N  0.047  0.749  0.493
N  0.558  0.097  0.132
N  0.550  0.788  0.019
N  0.251  0.953  0.007
N  0.749  0.047  0.993
N  0.450  0.212  0.981
N  0.212  0.450  0.481
N  0.788  0.550  0.519
N  0.097  0.558  0.632
N  0.442  0.903  0.868
N  0.953  0.251  0.507
N  0.903  0.442  0.368
O  0.011  0.967  0.662
O  0.610  0.138  0.361
O  0.702  0.013  0.730
O  0.209  0.642  0.109
O  0.791  0.358  0.891
O  0.867  0.702  0.918
O  0.726  0.532  0.752
O  0.274  0.468  0.248
O  0.521  0.266  0.347
O  0.862  0.390  0.139
O  0.967  0.011  0.162
O  0.266  0.521  0.847
O  0.734  0.479  0.153
O  0.468  0.274  0.748
O  0.298  0.133  0.582
O  0.298  0.987  0.270
O  0.390  0.862  0.639
O  0.989  0.033  0.338
O  0.138  0.610  0.861
O  0.479  0.734  0.653
O  0.013  0.702  0.230
O  0.987  0.298  0.770
O  0.642  0.209  0.609
O  0.033  0.989  0.838
O  0.133  0.298  0.082
O  0.358  0.791  0.391
O  0.702  0.867  0.418
O  0.532  0.726  0.252
Re  0.511  0.872  0.345
Re  0.069  0.931  0.250
Re  0.128  0.489  0.155
Re  0.489  0.128  0.655
Re  0.931  0.069  0.750
Re  0.872  0.511  0.845
Ru  0.500  0.000  0.000
Ru  0.000  0.500  0.500

Calculated values
The calculation puts the magnetization at 26.002 Bohr magnetons per cell. The symmetry is C2/c (15).

Record 6
AgIr: relaxed, PBE-GGA.

a = 2.757 Å, b = 2.757 Å, c = 4.893 Å
α = 90.00°, β = 90.00°, γ = 120.00°
Sites, in units of the cell vectors:
Ir  0.667  0.333  0.000
Ag  0.000  0.000  0.500

Calculated values
The calculation puts the magnetization at 0.021 Bohr magnetons per cell. The symmetry is P-6m2 (187).

Record 7
GeRh: relaxed, PBE-GGA.

a = 4.926 Å, b = 4.926 Å, c = 4.926 Å
α = 90.00°, β = 90.00°, γ = 90.00°
Sites, in units of the cell vectors:
Ge  0.337  0.663  0.163
Ge  0.837  0.837  0.837
Ge  0.663  0.163  0.337
Ge  0.163  0.337  0.663
Rh  0.627  0.373  0.873
Rh  0.373  0.873  0.627
Rh  0.873  0.627  0.373
Rh  0.127  0.127  0.127

Calculated values
The symmetry is P2_13 (198).

Record 8
Rb2NaPdF6: relaxed, PBE-GGA.

a = 6.181 Å, b = 6.181 Å, c = 6.181 Å
α = 60.00°, β = 60.00°, γ = 60.00°
Sites, in units of the cell vectors:
Rb  0.250  0.250  0.250
Rb  0.750  0.750  0.750
F  0.236  0.236  0.764
F  0.236  0.764  0.236
F  0.764  0.236  0.764
F  0.764  0.764  0.236
F  0.764  0.236  0.236
F  0.236  0.764  0.764
Na  0.500  0.500  0.500
Pd  0.000  0.000  0.000

Calculated values
The calculation puts the magnetization at 1.000 Bohr magnetons per cell. The symmetry is Fm-3m (225).

| no. | calculated formation energy (eV/atom) |
| --- | --- |
| 1 | -2.887 |
| 2 | -0.431 |
| 3 | -0.291 |
| 4 | -2.871 |
| 5 | 0.190 |
| 6 | 0.357 |
| 7 | -0.503 |
| 8 | -2.495 |